The following is a DFT calculation (PBE-GGA) of NbFe3 after structural relaxation.

- Volume: 51.8 Å³ per cell
- DFT formation energy: 0.0340 eV/atom
- SG: Pm-3m, No. 221

```
NbFe3
1.0
3.727 0.000 0.000
0.000 3.727 0.000
0.000 0.000 3.727
Fe Nb
3 1
Cartesian
1.863 1.863 0.000 Fe
1.863 0.000 1.863 Fe
0.000 1.863 1.863 Fe
0.000 0.000 0.000 Nb
```

***

The following is a DFT calculation (PBE-GGA) of ThSnPd2 after structural relaxation.

- Volume: 85.8 Å³ per cell
- DFT formation energy: -0.7955 eV/atom
- SG: Fm-3m, No. 225

```
ThSnPd2
1.0
0.000 3.500 3.500
3.500 0.000 3.500
3.500 3.500 0.000
Th Sn Pd
1 1 2
Cartesian
3.500 3.500 3.500 Th
0.000 0.000 0.000 Sn
1.750 1.750 1.750 Pd
5.251 5.251 5.251 Pd
```